Density functional theory data (PBE+U) for crystalline LiFeF4 at its relaxed geometry.

Computed properties:
Total energy after the MP2020 corrections = -5.8261 eV per atom
Formation energy = -16.919 eV per formula unit
E_tot = -0.37794 Ry/atom
Relative energy among the computed polymorphs = 0.45 kJ per mole of atoms

abc: 4.773 5.649 5.659
angles: 65.36 90.00 90.00
Fractional coordinates of all 12 atoms:
F1 0.685 0.327 0.362
F2 0.293 0.142 0.160
F3 0.207 0.142 0.660
F4 0.707 0.858 0.840
F5 0.185 0.673 0.138
F6 0.793 0.858 0.340
F7 0.315 0.673 0.638
F8 0.815 0.327 0.862
Li1 0.000 0.500 0.500
Li2 0.500 0.500 0.000
Fe1 0.000 0.000 0.000
Fe2 0.500 0.000 0.500